1.
K2RbPdF6 | PBE-GGA | relaxed

POSCAR file:
```
K2RbPdF6
1.0
0.0000 4.6467 4.6467
4.6467 0.0000 4.6467
4.6467 4.6467 0.0000
F K Rb Pd
6 2 1 1
Direct
0.2210 0.7790 0.2210 F
0.7790 0.2210 0.2210 F
0.7790 0.7790 0.2210 F
0.2210 0.7790 0.7790 F
0.7790 0.2210 0.7790 F
0.2210 0.2210 0.7790 F
0.2500 0.2500 0.2500 K
0.7500 0.7500 0.7500 K
0.5000 0.5000 0.5000 Rb
0.0000 0.0000 0.0000 Pd
```

## Properties
Total DFT energy (no corrections) (eV per atom): -4.123
Crystal system: cubic
Energy relative to the elements (eV per atom): -2.413



2.
K2TlPdF6 | PBE-GGA | relaxed

POSCAR file:
```
K2TlPdF6
1.0
-0.0422 -0.3087 6.4418
-3.4425 -4.5628 2.9872
3.0005 -4.8472 3.0158
F Pd Tl K
6 1 1 2
Direct
0.7696 0.2304 0.7696 F
0.7696 0.7696 0.2304 F
0.2304 0.7696 0.7696 F
0.2304 0.2304 0.7696 F
0.7696 0.2304 0.2304 F
0.2304 0.7696 0.2304 F
0.0000 0.0000 0.0000 Pd
0.5000 0.5000 0.5000 Tl
0.7500 0.7500 0.7500 K
0.2500 0.2500 0.2500 K
```

## Properties
Total DFT energy (no corrections) (eV per atom): -4.115
Crystal system: cubic
Energy relative to the elements (eV per atom): -2.267



3.
KZrPdF7 | PBE-GGA | relaxed

POSCAR file:
```
KZrPdF7
1.0
6.5320 0.0000 0.0000
0.0000 8.1359 0.0000
0.0000 0.0000 11.6079
F K Pd Zr
28 4 4 4
Direct
0.7500 0.2500 0.9176 F
0.2500 0.2500 0.4176 F
0.8522 0.4892 0.1054 F
0.0667 0.2063 0.7452 F
0.5517 0.3194 0.5459 F
0.6478 0.0108 0.1054 F
0.1478 0.4892 0.6054 F
0.4483 0.6806 0.4541 F
0.4333 0.7063 0.7548 F
0.4333 0.2937 0.7452 F
0.9483 0.8194 0.9541 F
0.4483 0.3194 0.0459 F
0.5517 0.6806 0.9541 F
0.9333 0.2063 0.2452 F
0.0517 0.8194 0.4541 F
0.0667 0.7937 0.7548 F
0.2500 0.7500 0.0824 F
0.1478 0.5108 0.8946 F
0.7500 0.7500 0.5824 F
0.5667 0.2937 0.2452 F
0.3522 0.0108 0.6054 F
0.0517 0.1806 0.0459 F
0.3522 0.9892 0.8946 F
0.5667 0.7063 0.2548 F
0.8522 0.5108 0.3946 F
0.9333 0.7937 0.2548 F
0.6478 0.9892 0.3946 F
0.9483 0.1806 0.5459 F
0.2316 0.5000 0.2500 K
0.7684 0.5000 0.7500 K
0.7316 0.0000 0.7500 K
0.2684 0.0000 0.2500 K
0.7500 0.2500 0.4008 Pd
0.2500 0.2500 0.9008 Pd
0.7500 0.7500 0.0992 Pd
0.2500 0.7500 0.5992 Pd
0.2500 0.2500 0.5921 Zr
0.7500 0.2500 0.0921 Zr
0.7500 0.7500 0.4079 Zr
0.2500 0.7500 0.9079 Zr
```

## Properties
Total DFT energy (no corrections) (eV per atom): -5.572
Crystal system: orthorhombic
Energy relative to the elements (eV per atom): -3.071



4.
KPrF4 | PBE-GGA | relaxed

POSCAR file:
```
KPrF4
1.0
3.8130 0.0000 0.0000
0.0000 6.3276 0.0000
0.0000 0.0000 15.8525
F K Pr
16 4 4
Direct
0.2500 0.1349 0.9643 F
0.2500 0.0895 0.6934 F
0.7500 0.9105 0.3066 F
0.7500 0.4105 0.1934 F
0.2500 0.5055 0.0583 F
0.7500 0.4945 0.9417 F
0.2500 0.5895 0.8066 F
0.7500 0.8651 0.0357 F
0.2500 0.6035 0.3653 F
0.7500 0.9945 0.5583 F
0.7500 0.3651 0.4643 F
0.2500 0.0055 0.4417 F
0.7500 0.8965 0.8653 F
0.2500 0.6349 0.5357 F
0.7500 0.3965 0.6347 F
0.2500 0.1035 0.1347 F
0.7500 0.2787 0.7973 K
0.7500 0.7787 0.7027 K
0.2500 0.7213 0.2027 K
0.2500 0.2213 0.2973 K
0.2500 0.2516 0.5611 Pr
0.7500 0.2484 0.0611 Pr
0.7500 0.7484 0.4389 Pr
0.2500 0.7516 0.9389 Pr
```

## Properties
Total DFT energy (no corrections) (eV per atom): -5.924
Crystal system: orthorhombic
Energy relative to the elements (eV per atom): -3.974